# 1
# AlN3Cl3

Crystalline AlN3Cl3 at its relaxed geometry (meta-GGA r2SCAN, the Materials Project database).

Calculated values
DFT total energy: -93.70 eV for the cell shown
Formation enthalpy at 0 K: 5.73 eV/f.u.
Calculated volume: 278.7 Å³/cell
Space group: P-1 (2)

Cell: 4.6133 6.8392 8.9350 Å, 86.89 82.32 92.28°
Positions (direct):
Al 0.0000 0.0000 0.5000
Al 0.0000 0.5000 0.0000
N 0.7470 0.7132 0.9981
N 0.2530 0.2868 0.0019
N 0.3060 0.1968 0.4645
N 0.6940 0.8032 0.5355
N 0.0689 0.9771 0.7103
N 0.9311 0.0229 0.2897
Cl 0.9872 0.4758 0.7563
Cl 0.0128 0.5242 0.2437
Cl 0.5517 0.2368 0.0641
Cl 0.4483 0.7632 0.9359
Cl 0.5596 0.2416 0.5644
Cl 0.4404 0.7584 0.4356

---

# 2
# HoSbIr

Crystalline HoSbIr at its relaxed geometry (meta-GGA r2SCAN, the Materials Project database).

Calculated values
DFT total energy: -456.08 eV for the cell shown
Formation enthalpy at 0 K: -3.07 eV/f.u.
Calculated volume: 251.5 Å³/cell
Space group: Pnma (62)

Cell: 4.5044 7.1351 7.8262 Å, 90.00 90.00 90.00°
Positions (direct):
Ho 0.2500 0.5124 0.1936
Ho 0.7500 0.4876 0.8064
Ho 0.7500 0.9876 0.6936
Ho 0.2500 0.0124 0.3064
Sb 0.2500 0.6786 0.5886
Sb 0.7500 0.3214 0.4114
Sb 0.7500 0.8213 0.0886
Sb 0.2500 0.1786 0.9114
Ir 0.2500 0.7917 0.9131
Ir 0.7500 0.2083 0.0868
Ir 0.7500 0.7083 0.4132
Ir 0.2500 0.2917 0.5868

---

# 3
# YGaI

Crystalline YGaI at its relaxed geometry (meta-GGA r2SCAN, the Materials Project database).

Calculated values
DFT total energy: -119.94 eV for the cell shown
Formation enthalpy at 0 K: -3.66 eV/f.u.
Calculated volume: 183.4 Å³/cell
Space group: P-3m1 (164)

Cell: 4.1799 4.1799 12.1197 Å, 90.00 90.00 120.00°
Positions (direct):
Y 0.0000 0.0000 0.8337
Y 0.0000 0.0000 0.1663
Ga 0.3333 0.6667 0.9721
Ga 0.6667 0.3333 0.0279
I 0.6667 0.3333 0.6684
I 0.3333 0.6667 0.3316

---

# 4
# Sr2CrFeAsO3

Crystalline Sr2CrFeAsO3 at its relaxed geometry (meta-GGA r2SCAN, the Materials Project database).

Calculated values
DFT total energy: -217.96 eV for the cell shown
Formation enthalpy at 0 K: -16.58 eV/f.u.
Calculated volume: 238.6 Å³/cell
Space group: P4/nmm (129)

Cell: 3.8962 3.8962 15.7167 Å, 90.00 90.00 90.00°
Positions (direct):
Sr 0.5000 0.0000 0.8091
Sr 0.0000 0.5000 0.1909
Sr 0.5000 0.0000 0.5864
Sr 0.0000 0.5000 0.4136
Cr 0.0000 0.5000 0.6902
Cr 0.5000 0.0000 0.3098
Fe 0.5000 0.5000 0.0000
Fe 0.0000 0.0000 0.0000
As 0.0000 0.5000 0.9185
As 0.5000 0.0000 0.0815
O 0.5000 0.5000 0.7081
O 0.0000 0.0000 0.7081
O 0.0000 0.0000 0.2919
O 0.5000 0.5000 0.2919
O 0.0000 0.5000 0.5700
O 0.5000 0.0000 0.4300

---

# 5
# CeMg3

Crystalline CeMg3 at its relaxed geometry (meta-GGA r2SCAN, the Materials Project database).

Calculated values
DFT total energy: -43.41 eV for the cell shown
Formation enthalpy at 0 K: -0.06 eV/f.u.
Calculated volume: 93.9 Å³/cell
Space group: P-6m2 (187)

Cell: 3.1198 3.1198 11.1343 Å, 90.00 90.00 120.00°
Positions (direct):
Ce 0.3333 0.6667 0.5000
Mg 0.3333 0.6667 0.0000
Mg 0.0000 0.0000 0.7649
Mg 0.0000 0.0000 0.2351

---

# 6
# BaP2O6

Crystalline BaP2O6 at its relaxed geometry (meta-GGA r2SCAN, the Materials Project database).

Calculated values
DFT total energy: -420.24 eV for the cell shown
Formation enthalpy at 0 K: -24.72 eV/f.u.
Calculated volume: 506.8 Å³/cell
Space group: P2_1/c (14)

Cell: 6.9356 7.5372 11.8136 Å, 55.15 90.00 90.00°
Positions (direct):
Ba 0.0970 0.3203 0.8235
Ba 0.4030 0.3203 0.3235
Ba 0.5970 0.6797 0.6765
Ba 0.9030 0.6797 0.1765
P 0.1067 0.9559 0.6641
P 0.2043 0.7075 0.4218
P 0.6067 0.0441 0.8359
P 0.7957 0.2925 0.5782
P 0.7043 0.2925 0.0782
P 0.2957 0.7075 0.9218
P 0.3933 0.9559 0.1641
P 0.8933 0.0441 0.3359
O 0.2252 0.6146 0.0633
O 0.0287 0.2117 0.3163
O 0.4986 0.1808 0.1023
O 0.9986 0.8192 0.3977
O 0.1591 0.9068 0.8146
O 0.3409 0.9068 0.3146
O 0.0014 0.1808 0.6023
O 0.8177 0.4350 0.6271
O 0.7252 0.3854 0.4367
O 0.8409 0.0932 0.1854
O 0.7748 0.3854 0.9367
O 0.7904 0.0013 0.9126
O 0.2748 0.6146 0.5633
O 0.1823 0.5650 0.3729
O 0.5287 0.7883 0.1837
O 0.7096 0.0013 0.4126
O 0.2904 0.9987 0.5874
O 0.6591 0.0932 0.6854
O 0.4713 0.2117 0.8163
O 0.5014 0.8192 0.8977
O 0.2096 0.9987 0.0874
O 0.3177 0.5650 0.8729
O 0.9713 0.7883 0.6837
O 0.6823 0.4350 0.1271

---

Question: Which value of calculated volume does entry 2 give?
Answer: 251.5 Å³/cell